Below is Lu6Zn23 after structural relaxation, with properties calculated at the r2SCAN level.

Results
Energy (eV for the cell shown): -442.9
Space group: Fm-3m, No. 225

```
Lu6Zn23
1.0
0.0000 6.1957 6.1957
6.1957 0.0000 6.1957
6.1957 6.1957 0.0000
Zn Lu
23 6
direct
0.3294 0.3294 0.0119
0.1224 0.6328 0.1224
0.6706 0.9881 0.6706
0.5000 0.0000 0.5000
0.3672 0.8776 0.8776
0.3294 0.3294 0.3294
0.1224 0.1224 0.6328
0.0119 0.3294 0.3294
0.3294 0.0119 0.3294
0.1224 0.1224 0.1224
0.0000 0.5000 0.0000
0.0000 0.0000 0.0000
0.5000 0.0000 0.0000
0.5000 0.5000 0.0000
0.0000 0.5000 0.5000
0.8776 0.8776 0.3672
0.6706 0.6706 0.9881
0.8776 0.3672 0.8776
0.8776 0.8776 0.8776
0.6328 0.1224 0.1224
0.9881 0.6706 0.6706
0.6706 0.6706 0.6706
0.0000 0.0000 0.5000
0.7037 0.7037 0.2963
0.7037 0.2963 0.2963
0.2963 0.7037 0.7037
0.2963 0.2963 0.7037
0.7037 0.2963 0.7037
0.2963 0.7037 0.2963
```